DFT (PBE) results for a relaxed NbCrFe crystal.

- DFT total energy: -9.47 eV per atom
- Density: 8.33 g cm⁻³
- Formation energy from the elements: -0.2 eV/f.u.
- Total magnetization: 0.212 μB per formula unit
- Crystal system: orthorhombic

CIF file:
```
data_NbCrFe
_chemical_formula_sum 'Nb8 Cr8 Fe8'
_cell_length_a 7.803
_cell_length_b 4.828
_cell_length_c 8.493
_cell_angle_alpha 90.00
_cell_angle_beta 90.00
_cell_angle_gamma 90.00
_symmetry_space_group_name_H-M 'A m m 2'
_symmetry_Int_Tables_number 38
loop_
_symmetry_equiv_pos_as_xyz
'x,y,z'
'-x,-y,z'
'-x,y,z'
'x,-y,z'
'x,y+1/2,z+1/2'
'-x,-y+1/2,z+1/2'
'-x,y+1/2,z+1/2'
'x,-y+1/2,z+1/2'
loop_
_atom_site_label
_atom_site_fract_x
_atom_site_fract_y
_atom_site_fract_z
_atom_site_occupancy
Nb1 0.185 0.000 0.000 1
Nb2 0.308 0.000 0.333 1
Cr1 0.241 0.000 0.667 1
Cr2 0.500 0.244 0.080 1
Fe1 0.000 0.000 0.493 1
Fe2 0.000 0.244 0.251 1
Fe3 0.500 0.000 0.837 1
```